No. 1
Computed, not measured: a relaxed TiPd3 crystal at the GGA-PBE level of DFT.

Geometry as POSCAR:
```
TiPd3
1.0
3.219 1.790 4.170
-4.068 3.247 -1.965
-5.766 -3.596 5.994
Pd Ti
12 4
direct
0.500 0.500 0.000
0.500 0.000 0.000
0.332 0.166 0.250
0.834 0.668 0.250
0.500 0.500 0.500
0.166 0.834 0.750
0.166 0.332 0.750
0.000 0.500 0.000
0.834 0.166 0.250
0.668 0.834 0.750
0.000 0.500 0.500
0.500 0.000 0.500
0.000 0.000 0.000
0.333 0.667 0.250
0.667 0.333 0.750
0.000 0.000 0.500
```

ΔH_f (0 K): -650 meV per atom



No. 2
Computed, not measured: a relaxed LaPmIr2 crystal at the GGA-PBE level of DFT.

Geometry as POSCAR:
```
LaPmIr2
1.0
0.000 3.566 3.566
3.566 0.000 3.566
3.566 3.566 0.000
Pm Ir La
1 2 1
direct
0.000 0.000 0.000
0.750 0.750 0.750
0.250 0.250 0.250
0.500 0.500 0.500
```

ΔH_f (0 K): -599 meV per atom



No. 3
Computed, not measured: a relaxed Al2O3 crystal at the GGA-PBE level of DFT.

Geometry as POSCAR:
```
Al2O3
1.0
10.709 -0.017 -0.051
-0.018 10.446 0.257
-0.064 0.246 9.824
O Al
60 40
direct
0.989 0.220 0.270
0.581 0.038 0.407
0.285 0.732 0.636
0.418 0.211 0.481
0.054 0.851 0.608
0.670 0.523 0.944
0.120 0.040 0.457
0.229 0.232 0.677
0.843 0.005 0.474
0.891 0.109 0.015
0.445 0.361 0.896
0.867 0.517 0.541
0.472 0.152 0.171
0.299 0.146 0.932
0.709 0.999 0.738
0.384 0.477 0.561
0.081 0.673 0.846
0.189 0.791 0.390
0.607 0.020 0.983
0.755 0.864 0.194
0.569 0.617 0.192
0.513 0.876 0.680
0.073 0.783 0.118
0.314 0.536 0.316
0.020 0.306 0.536
0.222 0.308 0.114
0.672 0.768 0.952
0.737 0.110 0.228
0.723 0.234 0.552
0.193 0.424 0.825
0.672 0.818 0.460
0.441 0.707 0.436
0.307 0.659 0.884
0.868 0.651 0.118
0.656 0.440 0.714
0.060 0.224 0.896
0.272 0.015 0.196
0.772 0.711 0.700
0.221 0.315 0.372
0.541 0.360 0.355
0.126 0.945 0.890
0.651 0.568 0.469
0.372 0.952 0.451
0.955 0.102 0.711
0.300 0.747 0.142
0.142 0.557 0.569
0.517 0.641 0.723
0.948 0.393 0.032
0.699 0.268 0.974
0.411 0.898 0.894
0.906 0.756 0.397
0.034 0.487 0.308
0.468 0.141 0.736
0.977 0.952 0.256
0.908 0.887 0.862
0.759 0.462 0.211
0.271 0.984 0.680
0.504 0.869 0.214
0.142 0.524 0.079
0.885 0.330 0.762
0.987 0.916 0.447
0.191 0.858 0.217
0.873 0.274 0.938
0.043 0.826 0.785
0.508 0.582 0.559
0.989 0.047 0.888
0.092 0.205 0.407
0.371 0.373 0.425
0.787 0.382 0.626
0.114 0.377 0.983
0.630 0.150 0.090
0.431 0.702 0.244
0.190 0.440 0.236
0.633 0.493 0.312
0.346 0.124 0.615
0.541 0.002 0.804
0.601 0.378 0.882
0.518 0.870 0.502
0.019 0.476 0.489
0.317 0.294 0.819
0.217 0.897 0.538
0.906 0.101 0.197
0.053 0.251 0.711
0.280 0.996 0.860
0.429 0.009 0.285
0.919 0.792 0.204
0.809 0.089 0.623
0.921 0.491 0.172
0.760 0.846 0.809
0.310 0.167 0.106
0.404 0.763 0.776
0.622 0.875 0.083
0.666 0.602 0.782
0.582 0.208 0.447
0.267 0.641 0.473
0.784 0.685 0.505
0.184 0.680 0.015
0.708 0.613 0.083
0.724 0.955 0.351
0.199 0.592 0.750
```

ΔH_f (0 K): -3255 meV per atom



No. 4
Computed, not measured: a relaxed Ho2B6Os crystal at the GGA-PBE level of DFT.

Geometry as POSCAR:
```
Ho2B6Os
1.0
3.650 0.000 0.000
0.000 9.134 0.000
0.000 0.000 11.513
B Ho Os
24 8 4
direct
0.500 0.748 0.421
0.500 0.792 0.267
0.500 0.890 0.531
0.500 0.516 0.713
0.500 0.867 0.686
0.500 0.633 0.186
0.500 0.708 0.767
0.500 0.610 0.031
0.500 0.484 0.287
0.500 0.054 0.067
0.500 0.016 0.787
0.500 0.133 0.314
0.500 0.946 0.933
0.500 0.390 0.969
0.500 0.446 0.567
0.500 0.752 0.921
0.500 0.292 0.233
0.500 0.248 0.079
0.500 0.208 0.733
0.500 0.110 0.469
0.500 0.554 0.433
0.500 0.367 0.814
0.500 0.252 0.579
0.500 0.984 0.213
0.000 0.945 0.373
0.000 0.822 0.086
0.000 0.445 0.127
0.000 0.322 0.414
0.000 0.555 0.873
0.000 0.678 0.586
0.000 0.055 0.627
0.000 0.178 0.914
0.000 0.362 0.678
0.000 0.638 0.322
0.000 0.138 0.178
0.000 0.862 0.822
```

ΔH_f (0 K): -672 meV per atom



No. 5
Computed, not measured: a relaxed BeP2H4O4 crystal at the GGA-PBE level of DFT.

Geometry as POSCAR:
```
BeP2H4O4
1.0
-1.402 1.958 -4.518
-4.180 -2.956 0.016
-10.288 14.599 9.522
P O H Be
8 16 16 4
direct
0.006 0.435 0.179
0.506 0.065 0.571
0.994 0.565 0.679
0.494 0.935 0.071
0.065 0.506 0.429
0.565 0.994 0.321
0.435 0.006 0.821
0.935 0.494 0.929
0.214 0.448 0.720
0.552 0.786 0.780
0.448 0.214 0.280
0.948 0.286 0.470
0.955 0.779 0.441
0.221 0.045 0.059
0.779 0.955 0.559
0.721 0.455 0.691
0.786 0.552 0.220
0.286 0.948 0.530
0.279 0.545 0.191
0.045 0.221 0.941
0.052 0.714 0.970
0.714 0.052 0.030
0.455 0.721 0.309
0.545 0.279 0.809
0.339 0.508 0.438
0.008 0.161 0.188
0.025 0.450 0.361
0.525 0.050 0.389
0.450 0.025 0.639
0.661 0.492 0.938
0.992 0.839 0.688
0.839 0.992 0.312
0.975 0.550 0.861
0.161 0.008 0.812
0.550 0.975 0.139
0.492 0.661 0.062
0.950 0.475 0.111
0.050 0.525 0.611
0.508 0.339 0.562
0.475 0.950 0.889
0.504 0.496 0.750
0.496 0.504 0.250
0.996 0.996 0.500
0.004 0.004 0.000
```

ΔH_f (0 K): -1596 meV per atom